The following is a PBE calculation of a relaxed MnSn crystal, from the Materials Project.

abc: 3.8860 3.8860 3.8860
angles: 60.00 60.00 60.00
Element x y z (fractional)
Mn: 0.0000 0.0000 0.0000
Sn: 0.5000 0.5000 0.5000

## Properties
Calculated formation energy, kcal/mol of atoms: 7.51
Space-group type: Fm-3m, No. 225
Density, g/cm3: 6.949
M_tot, μB per cell: 3.09

=====

The following is a PBE calculation of a relaxed Nb3Os crystal, from the Materials Project.

abc: 4.5852 4.5852 4.5852
angles: 60.00 60.00 60.00
Element x y z (fractional)
Nb: 0.2500 0.2500 0.2500
Nb: 0.7500 0.7500 0.7500
Nb: 0.5000 0.5000 0.5000
Os: 0.0000 0.0000 0.0000

## Properties
Calculated formation energy, kcal/mol of atoms: -5.38
Space-group type: Fm-3m, No. 225
Density, g/cm3: 11.424

=====

The following is a PBE calculation of a relaxed InFeCu2Se4 crystal, from the Materials Project.

abc: 6.9834 6.9834 6.9834
angles: 131.62 131.62 70.83
Element x y z (fractional)
In: 0.5000 0.5000 0.0000
Fe: 0.0000 0.0000 0.0000
Cu: 0.2500 0.7500 0.5000
Cu: 0.7500 0.2500 0.5000
Se: 0.0994 0.0994 0.4642
Se: 0.6352 0.6352 0.5358
Se: 0.9006 0.3648 0.0000
Se: 0.3648 0.9006 0.0000

## Properties
E (MP2020), eV/atom: -4.7069
Calculated formation energy, kcal/mol of atoms: -12.25
Space-group type: I-42m, No. 121
Density, g/cm3: 5.466
M_tot, μB per cell: 4.29

=====

The following is a PBE calculation of a relaxed Ca3P4H20N2O20 crystal, from the Materials Project.

abc: 11.5920 7.7247 13.2475
angles: 56.12 90.00 90.00
Element x y z (fractional)
Ca: 0.5000 0.0000 0.5000
Ca: 0.0000 0.0000 0.0000
Ca: 0.7760 0.3090 0.5781
Ca: 0.7240 0.3090 0.0781
Ca: 0.2240 0.6910 0.4219
Ca: 0.2760 0.6910 0.9219
P: 0.7531 0.2573 0.8616
P: 0.7469 0.2573 0.3616
P: 0.2469 0.7427 0.1384
P: 0.2531 0.7427 0.6384
P: 0.7809 0.8581 0.8733
P: 0.7191 0.8581 0.3733
P: 0.2191 0.1419 0.1267
P: 0.2809 0.1419 0.6267
H: 0.8405 0.8182 0.2138
H: 0.6595 0.8182 0.7138
H: 0.1595 0.1818 0.7862
H: 0.3405 0.1818 0.2862
H: 0.8947 0.6010 0.2561
H: 0.6053 0.6010 0.7561
H: 0.1053 0.3990 0.7439
H: 0.3947 0.3990 0.2439
H: 0.9866 0.2761 0.1161
H: 0.5134 0.2761 0.6161
H: 0.0134 0.7239 0.8839
H: 0.4866 0.7239 0.3839
H: 0.9391 0.4950 0.0808
H: 0.5609 0.4950 0.5808
H: 0.0609 0.5050 0.9192
H: 0.4391 0.5050 0.4192
H: 0.5021 0.2422 0.1904
H: 0.9979 0.2422 0.6904
H: 0.4979 0.7578 0.8096
H: 0.0021 0.7578 0.3096
H: 0.4517 0.2994 0.0683
H: 0.0483 0.2994 0.5683
H: 0.5483 0.7006 0.9317
H: 0.9517 0.7006 0.4317
H: 0.6143 0.8486 0.1674
H: 0.8857 0.8486 0.6674
H: 0.3857 0.1514 0.8326
H: 0.1143 0.1514 0.3326
H: 0.4978 0.7528 0.1296
H: 0.0022 0.7528 0.6296
H: 0.5022 0.2472 0.8704
H: 0.9978 0.2472 0.3704
H: 0.6283 0.6315 0.1665
H: 0.8717 0.6315 0.6665
H: 0.3717 0.3685 0.8335
H: 0.1283 0.3685 0.3335
H: 0.6145 0.8637 0.0359
H: 0.8855 0.8637 0.5359
H: 0.3855 0.1363 0.9641
H: 0.1145 0.1363 0.4641
N: 0.5869 0.7765 0.1251
N: 0.9131 0.7765 0.6251
N: 0.4131 0.2235 0.8749
N: 0.0869 0.2235 0.3749
O: 0.8028 0.3826 0.7334
O: 0.6972 0.3826 0.2334
O: 0.1972 0.6174 0.2666
O: 0.3028 0.6174 0.7666
O: 0.8414 0.2104 0.9609
O: 0.6586 0.2104 0.4609
O: 0.1586 0.7896 0.0391
O: 0.3414 0.7896 0.5391
O: 0.6421 0.3396 0.8833
O: 0.8579 0.3396 0.3833
O: 0.3579 0.6604 0.1167
O: 0.1421 0.6604 0.6167
O: 0.7135 0.0301 0.8892
O: 0.7865 0.0301 0.3892
O: 0.2865 0.9699 0.1108
O: 0.2135 0.9699 0.6108
O: 0.9057 0.8386 0.9175
O: 0.5943 0.8386 0.4175
O: 0.0943 0.1614 0.0825
O: 0.4057 0.1614 0.5825
O: 0.7739 0.9409 0.7371
O: 0.7261 0.9409 0.2371
O: 0.2261 0.0591 0.2629
O: 0.2739 0.0591 0.7629
O: 0.7079 0.6639 0.9534
O: 0.7921 0.6639 0.4534
O: 0.2921 0.3361 0.0466
O: 0.2079 0.3361 0.5466
O: 0.9073 0.7528 0.1994
O: 0.5927 0.7528 0.6994
O: 0.0927 0.2472 0.8006
O: 0.4073 0.2472 0.3006
O: 0.9218 0.3461 0.1289
O: 0.5782 0.3461 0.6289
O: 0.0782 0.6539 0.8711
O: 0.4218 0.6539 0.3711
O: 0.5246 0.2557 0.1143
O: 0.9754 0.2557 0.6143
O: 0.4754 0.7443 0.8857
O: 0.0246 0.7443 0.3857

## Properties
E (MP2020), eV/atom: -6.2015
Calculated formation energy, kcal/mol of atoms: -43.64
Space-group type: P2_1/c, No. 14
Density, g/cm3: 2.065
M_tot, μB per cell: 0.01

=====

The following is a PBE calculation of a relaxed Na2Sb3O8 crystal, from the Materials Project.

abc: 9.3030 9.3030 9.3030
angles: 90.00 90.00 90.00
Element x y z (fractional)
Na: 0.5081 0.5081 0.5081
Na: 0.4919 0.0081 0.9919
Na: 0.7419 0.7419 0.7419
Na: 0.7581 0.2581 0.2419
Na: 0.9919 0.4919 0.0081
Na: 0.0081 0.9919 0.4919
Na: 0.2419 0.7581 0.2581
Na: 0.2581 0.2419 0.7581
Sb: 0.6187 0.6313 0.1250
Sb: 0.6313 0.1250 0.6187
Sb: 0.6250 0.8813 0.3687
Sb: 0.8687 0.8750 0.1187
Sb: 0.8750 0.1187 0.8687
Sb: 0.8813 0.3687 0.6250
Sb: 0.1250 0.6187 0.6313
Sb: 0.1187 0.8687 0.8750
Sb: 0.1313 0.3750 0.3813
Sb: 0.3687 0.6250 0.8813
Sb: 0.3813 0.1313 0.3750
Sb: 0.3750 0.3813 0.1313
O: 0.5823 0.6460 0.9072
O: 0.6460 0.9072 0.5823
O: 0.6040 0.6677 0.3428
O: 0.6677 0.3428 0.6040
O: 0.6365 0.8635 0.1365
O: 0.6572 0.1040 0.8323
O: 0.5928 0.4177 0.1460
O: 0.6135 0.1135 0.3865
O: 0.9072 0.5823 0.6460
O: 0.8323 0.6572 0.1040
O: 0.8865 0.8865 0.8865
O: 0.8428 0.8960 0.3323
O: 0.8635 0.1365 0.6365
O: 0.8960 0.3323 0.8428
O: 0.8540 0.0928 0.0823
O: 0.9177 0.3540 0.4072
O: 0.1365 0.6365 0.8635
O: 0.1040 0.8323 0.6572
O: 0.0823 0.8540 0.0928
O: 0.0928 0.0823 0.8540
O: 0.1460 0.5928 0.4177
O: 0.1677 0.1572 0.3960
O: 0.1135 0.3865 0.6135
O: 0.1572 0.3960 0.1677
O: 0.3428 0.6040 0.6677
O: 0.3865 0.6135 0.1135
O: 0.3323 0.8428 0.8960
O: 0.4177 0.1460 0.5928
O: 0.3960 0.1677 0.1572
O: 0.4072 0.9177 0.3540
O: 0.3540 0.4072 0.9177
O: 0.3635 0.3635 0.3635

## Properties
E (MP2020), eV/atom: -6.1184
Calculated formation energy, kcal/mol of atoms: -44.21
Space-group type: P4_332, No. 212
Density, g/cm3: 4.449
M_tot, μB per cell: 0.02

=====

The following is a PBE calculation of a relaxed Al2HgS4 crystal, from the Materials Project.

abc: 7.3548 7.3548 7.3548
angles: 60.00 60.00 60.00
Element x y z (fractional)
Al: 0.1250 0.6250 0.6250
Al: 0.6250 0.1250 0.6250
Al: 0.6250 0.6250 0.1250
Al: 0.6250 0.6250 0.6250
Hg: 0.2500 0.2500 0.2500
Hg: 0.0000 0.0000 0.0000
S: 0.8285 0.3905 0.3905
S: 0.3905 0.8285 0.3905
S: 0.3905 0.3905 0.8285
S: 0.3905 0.3905 0.3905
S: 0.4215 0.8595 0.8595
S: 0.8595 0.4215 0.8595
S: 0.8595 0.8595 0.4215
S: 0.8595 0.8595 0.8595

## Properties
E (MP2020), eV/atom: -4.5670
Calculated formation energy, kcal/mol of atoms: -25.13
Space-group type: Fd-3m, No. 227
Density, g/cm3: 4.519
Energy above the most stable polymorph in this dataset, eV/f.u.: 0.13

=====

The following is a PBE calculation of a relaxed NpH3 crystal, from the Materials Project.

abc: 6.3475 6.3475 6.6224
angles: 90.00 90.00 120.00
Element x y z (fractional)
Np: 0.6634 0.0000 0.7500
Np: 0.3366 0.3366 0.7500
Np: 0.0000 0.6634 0.7500
Np: 0.6634 0.6634 0.2500
Np: 0.0000 0.3366 0.2500
Np: 0.3366 0.0000 0.2500
H: 0.0000 0.0000 0.7500
H: 0.0000 0.0000 0.2500
H: 0.6667 0.3333 0.8351
H: 0.6667 0.3333 0.3351
H: 0.3333 0.6667 0.1649
H: 0.3333 0.6667 0.6649
H: 0.3253 0.9852 0.9066
H: 0.6599 0.6747 0.9066
H: 0.0148 0.3401 0.9066
H: 0.3253 0.3401 0.4066
H: 0.0148 0.6747 0.4066
H: 0.6599 0.9852 0.4066
H: 0.6747 0.0148 0.0934
H: 0.3401 0.3253 0.0934
H: 0.9852 0.6599 0.0934
H: 0.6747 0.6599 0.5934
H: 0.9852 0.3253 0.5934
H: 0.3401 0.0148 0.5934

## Properties
E (MP2020), eV/atom: -6.1244
Calculated formation energy, kcal/mol of atoms: -7.91
Space-group type: P-3c1, No. 165
Density, g/cm3: 10.349
M_tot, μB per cell: 23.75

=====

The following is a PBE calculation of a relaxed W2C crystal, from the Materials Project.

abc: 3.0700 3.0700 4.6784
angles: 90.00 90.00 120.00
Element x y z (fractional)
W: 0.6667 0.3333 0.2537
W: 0.3333 0.6667 0.7463
C: 0.0000 0.0000 0.0000

## Properties
Calculated formation energy, kcal/mol of atoms: 1.29
Space-group type: P-3m1, No. 164
Density, g/cm3: 16.510
M_tot, μB per cell: 0.00

=====

The following is a PBE calculation of a relaxed SrBeF4 crystal, from the Materials Project.

abc: 8.2689 5.4785 8.6829
angles: 52.56 90.00 90.00
Element x y z (fractional)
Sr: 0.3062 0.0204 0.6722
Sr: 0.8062 0.9796 0.8278
Sr: 0.6938 0.9796 0.3278
Sr: 0.1938 0.0204 0.1722
Be: 0.9567 0.4264 0.3182
Be: 0.4567 0.5736 0.1818
Be: 0.0433 0.5736 0.6818
Be: 0.5433 0.4264 0.8182
F: 0.0846 0.2196 0.8212
F: 0.5846 0.7804 0.6788
F: 0.9154 0.7804 0.1788
F: 0.4154 0.2196 0.3212
F: 0.3762 0.4067 0.9063
F: 0.8762 0.5933 0.5937
F: 0.6238 0.5933 0.0937
F: 0.1238 0.4067 0.4063
F: 0.1803 0.7613 0.5301
F: 0.6803 0.2387 0.9699
F: 0.8197 0.2387 0.4699
F: 0.3197 0.7613 0.0301
F: 0.0365 0.7096 0.7975
F: 0.5365 0.2904 0.7025
F: 0.9635 0.2904 0.2025
F: 0.4635 0.7096 0.2975

## Properties
E (MP2020), eV/atom: -6.1001
Calculated formation energy, kcal/mol of atoms: -90.37
Space-group type: P2_1/c, No. 14
Density, g/cm3: 3.671

=====

The following is a PBE calculation of a relaxed Pr3CBr5 crystal, from the Materials Project.

abc: 7.7267 9.2152 9.2834
angles: 108.49 97.57 106.12
Element x y z (fractional)
Pr: 0.8876 0.9576 0.2327
Pr: 0.1124 0.0424 0.7673
Pr: 0.0252 0.7172 0.9151
Pr: 0.9748 0.2828 0.0849
Pr: 0.6073 0.8430 0.7955
Pr: 0.3927 0.1570 0.2045
C: 0.9080 0.9655 0.9535
C: 0.0920 0.0345 0.0465
Br: 0.7440 0.9140 0.5323
Br: 0.2560 0.0860 0.4677
Br: 0.4557 0.8202 0.0846
Br: 0.5443 0.1798 0.9154
Br: 0.8261 0.2730 0.3625
Br: 0.1739 0.7270 0.6375
Br: 0.9088 0.6279 0.1768
Br: 0.0912 0.3721 0.8232
Br: 0.6446 0.5241 0.7165
Br: 0.3554 0.4759 0.2835

## Properties
E (MP2020), eV/atom: -5.4224
Calculated formation energy, kcal/mol of atoms: -43.68
Space-group type: P-1, No. 2
Density, g/cm3: 4.740

=====

The following is a PBE calculation of a relaxed TbNi4B crystal, from the Materials Project.

abc: 4.9740 4.9740 6.9579
angles: 90.00 90.00 120.00
Element x y z (fractional)
Tb: 0.0000 0.0000 0.5000
Tb: 0.0000 0.0000 0.0000
Ni: 0.3333 0.6667 0.0000
Ni: 0.6667 0.3333 0.0000
Ni: 0.5000 0.0000 0.2920
Ni: 0.5000 0.5000 0.2920
Ni: 0.0000 0.5000 0.2920
Ni: 0.5000 0.0000 0.7080
Ni: 0.5000 0.5000 0.7080
Ni: 0.0000 0.5000 0.7080
B: 0.6667 0.3333 0.5000
B: 0.3333 0.6667 0.5000

## Properties
Calculated formation energy, kcal/mol of atoms: -11.39
Space-group type: P6/mmm, No. 191
Density, g/cm3: 9.011

=====

The following is a PBE calculation of a relaxed V5S8 crystal, from the Materials Project.

abc: 6.5615 6.5615 7.9500
angles: 53.08 53.08 60.57
Element x y z (fractional)
V: 0.0000 0.0000 0.0000
V: 0.7069 0.2931 0.5000
V: 0.2931 0.7069 0.5000
V: 0.2744 0.2744 0.4915
V: 0.7256 0.7256 0.5085
S: 0.0172 0.0172 0.2892
S: 0.9828 0.9828 0.7108
S: 0.5576 0.5576 0.2191
S: 0.4424 0.4424 0.7809
S: 0.0391 0.5400 0.2478
S: 0.4600 0.9609 0.7522
S: 0.5400 0.0391 0.2478
S: 0.9609 0.4600 0.7522

## Properties
E (MP2020), eV/atom: -7.2873
Calculated formation energy, kcal/mol of atoms: -28.78
Space-group type: C2/m, No. 12
Density, g/cm3: 3.964

=====

The following is a PBE calculation of a relaxed Na3Hg crystal, from the Materials Project.

abc: 5.4813 5.4813 5.4813
angles: 60.00 60.00 60.00
Element x y z (fractional)
Na: 0.5000 0.5000 0.5000
Na: 0.7500 0.7500 0.7500
Na: 0.2500 0.2500 0.2500
Hg: 0.0000 0.0000 0.0000

## Properties
Calculated formation energy, kcal/mol of atoms: -3.14
Space-group type: Fm-3m, No. 225
Density, g/cm3: 3.844

=====

The following is a PBE calculation of a relaxed InGaS3 crystal, from the Materials Project.

abc: 6.8436 6.8436 18.3627
angles: 90.00 90.00 120.00
Element x y z (fractional)
In: 0.3188 0.3258 0.9916
In: 0.9930 0.3188 0.1583
In: 0.3258 0.0070 0.8250
In: 0.6742 0.9930 0.3250
In: 0.0070 0.6812 0.6583
In: 0.6812 0.6742 0.4916
Ga: 0.6597 0.6716 0.1305
Ga: 0.9881 0.6597 0.2972
Ga: 0.6716 0.0119 0.9638
Ga: 0.3284 0.9881 0.4638
Ga: 0.0119 0.3403 0.7972
Ga: 0.3403 0.3284 0.6305
S: 0.3561 0.3134 0.1376
S: 0.0427 0.3561 0.3042
S: 0.3134 0.9573 0.9709
S: 0.6866 0.0427 0.4709
S: 0.9573 0.6439 0.8042
S: 0.6439 0.6866 0.6376
S: 0.9566 0.3346 0.0123
S: 0.6220 0.9566 0.1790
S: 0.3346 0.3780 0.8457
S: 0.6654 0.6220 0.3457
S: 0.3780 0.0434 0.6790
S: 0.0434 0.6654 0.5123
S: 0.9938 0.6949 0.1699
S: 0.2989 0.9938 0.3366
S: 0.6949 0.7011 0.0033
S: 0.3051 0.2989 0.5033
S: 0.7011 0.0062 0.8366
S: 0.0062 0.3051 0.6699

## Properties
Largest piezoelectric modulus, C/m²: 0.04
E (MP2020), eV/atom: -4.5603
Calculated formation energy, kcal/mol of atoms: -21.27
Space-group type: P6_1, No. 169
Density, g/cm3: 3.755